1.
This record from Materials Project describes a relaxed structure of NdSi2P6. The functional is PBE-GGA.

Lattice parameters (Å, degrees): 14.930 14.930 10.361 90.00 90.00 140.14
Atoms (fractional coordinates):
Si: 0.604 0.737 0.005
Si: 0.396 0.263 0.505
Si: 0.263 0.396 0.005
Si: 0.007 0.650 0.032
Si: 0.012 0.342 0.865
Si: 0.988 0.658 0.365
Si: 0.350 0.993 0.032
Si: 0.342 0.012 0.365
Si: 0.650 0.007 0.532
Si: 0.080 0.241 0.324
Si: 0.737 0.604 0.505
Si: 0.759 0.920 0.324
Si: 0.993 0.350 0.532
Si: 0.920 0.759 0.824
Si: 0.241 0.080 0.824
Si: 0.658 0.988 0.865
Nd: 0.420 0.580 0.648
Nd: 0.311 0.689 0.241
Nd: 0.766 0.234 0.262
Nd: 0.960 0.040 0.723
Nd: 0.689 0.311 0.741
Nd: 0.040 0.960 0.223
Nd: 0.580 0.420 0.148
Nd: 0.234 0.766 0.762
P: 0.077 0.923 0.499
P: 0.507 0.800 0.001
P: 0.319 0.681 0.521
P: 0.617 0.701 0.400
P: 0.915 0.673 0.183
P: 0.530 0.470 0.609
P: 0.383 0.299 0.900
P: 0.772 0.228 0.547
P: 0.958 0.042 0.426
P: 0.894 0.801 0.624
P: 0.673 0.915 0.683
P: 0.923 0.077 0.999
P: 0.897 0.431 0.035
P: 0.085 0.327 0.683
P: 0.671 0.730 0.816
P: 0.036 0.550 0.334
P: 0.327 0.085 0.183
P: 0.199 0.106 0.624
P: 0.046 0.361 0.322
P: 0.964 0.450 0.834
P: 0.157 0.843 0.500
P: 0.431 0.897 0.535
P: 0.681 0.319 0.021
P: 0.576 0.424 0.784
P: 0.345 0.655 0.851
P: 0.270 0.329 0.816
P: 0.200 0.493 0.001
P: 0.493 0.200 0.501
P: 0.954 0.639 0.822
P: 0.450 0.964 0.334
P: 0.550 0.036 0.834
P: 0.470 0.530 0.109
P: 0.801 0.894 0.124
P: 0.639 0.954 0.322
P: 0.424 0.576 0.284
P: 0.843 0.157 0.000
P: 0.042 0.958 0.926
P: 0.329 0.270 0.316
P: 0.800 0.507 0.501
P: 0.361 0.046 0.822
P: 0.569 0.103 0.035
P: 0.106 0.199 0.124
P: 0.730 0.671 0.316
P: 0.655 0.345 0.351
P: 0.299 0.383 0.400
P: 0.103 0.569 0.535
P: 0.228 0.772 0.047
P: 0.701 0.617 0.900

Values from the calculation:
The calculation puts the spin magnetization at 0.01 Bohr magnetons per cell. For the calculated formation energy, the calculation gives -41.5 kJ/mol of atoms.

***

2.
This record from Materials Project describes a relaxed structure of ScCu3N3. The functional is PBE-GGA.

Lattice parameters (Å, degrees): 4.255 4.255 4.255 90.00 90.00 90.00
Atoms (fractional coordinates):
N: 0.500 0.000 0.500
N: 0.000 0.500 0.500
N: 0.500 0.500 0.000
Cu: 0.000 0.500 0.000
Cu: 0.500 0.000 0.000
Cu: 0.000 0.000 0.500
Sc: 0.500 0.500 0.500

Values from the calculation:
The calculation puts the spin magnetization at 0.00 Bohr magnetons per cell. For the calculated formation energy, the calculation gives -14.7 kJ/mol of atoms.

***

3.
This record from Materials Project describes a relaxed structure of Li2MgPb. The functional is PBE-GGA.

Lattice parameters (Å, degrees): 4.830 4.830 4.830 60.00 60.00 60.00
Atoms (fractional coordinates):
Li: 0.250 0.250 0.250
Li: 0.750 0.750 0.750
Pb: 0.500 0.500 0.500
Mg: 0.000 0.000 0.000

Values from the calculation:
For the calculated formation energy, the calculation gives -24.7 kJ/mol of atoms.

***

4.
This record from Materials Project describes a relaxed structure of Sr3Al2H12O12. The functional is PBE-GGA.

Lattice parameters (Å, degrees): 11.435 11.435 11.435 109.47 109.47 109.47
Atoms (fractional coordinates):
O: 0.924 0.316 0.337
O: 0.413 0.076 0.892
O: 0.979 0.816 0.892
O: 0.108 0.587 0.924
O: 0.576 0.913 0.392
O: 0.816 0.424 0.837
O: 0.521 0.608 0.684
O: 0.837 0.816 0.424
O: 0.076 0.684 0.663
O: 0.576 0.163 0.184
O: 0.424 0.087 0.608
O: 0.337 0.913 0.021
O: 0.913 0.021 0.337
O: 0.479 0.392 0.316
O: 0.163 0.184 0.576
O: 0.184 0.576 0.163
O: 0.521 0.413 0.837
O: 0.684 0.521 0.608
O: 0.424 0.837 0.816
O: 0.413 0.837 0.521
O: 0.337 0.924 0.316
O: 0.108 0.021 0.184
O: 0.924 0.108 0.587
O: 0.021 0.337 0.913
O: 0.392 0.576 0.913
O: 0.021 0.184 0.108
O: 0.184 0.108 0.021
O: 0.316 0.479 0.392
O: 0.663 0.076 0.684
O: 0.392 0.316 0.479
O: 0.608 0.684 0.521
O: 0.892 0.413 0.076
O: 0.087 0.608 0.424
O: 0.837 0.521 0.413
O: 0.163 0.479 0.587
O: 0.479 0.587 0.163
O: 0.587 0.924 0.108
O: 0.663 0.087 0.979
O: 0.816 0.892 0.979
O: 0.892 0.979 0.816
O: 0.684 0.663 0.076
O: 0.608 0.424 0.087
O: 0.076 0.892 0.413
O: 0.979 0.663 0.087
O: 0.913 0.392 0.576
O: 0.316 0.337 0.924
O: 0.087 0.979 0.663
O: 0.587 0.163 0.479
H: 0.059 0.808 0.947
H: 0.447 0.308 0.559
H: 0.692 0.751 0.139
H: 0.692 0.441 0.553
H: 0.749 0.441 0.388
H: 0.612 0.861 0.053
H: 0.861 0.308 0.249
H: 0.251 0.192 0.639
H: 0.888 0.447 0.639
H: 0.249 0.888 0.941
H: 0.249 0.861 0.308
H: 0.751 0.139 0.692
H: 0.441 0.388 0.749
H: 0.861 0.053 0.612
H: 0.139 0.947 0.388
H: 0.112 0.059 0.751
H: 0.941 0.192 0.053
H: 0.361 0.112 0.553
H: 0.447 0.639 0.888
H: 0.112 0.553 0.361
H: 0.308 0.559 0.447
H: 0.192 0.053 0.941
H: 0.308 0.249 0.861
H: 0.388 0.139 0.947
H: 0.053 0.612 0.861
H: 0.559 0.612 0.251
H: 0.639 0.251 0.192
H: 0.059 0.751 0.112
H: 0.639 0.888 0.447
H: 0.251 0.559 0.612
H: 0.888 0.941 0.249
H: 0.751 0.112 0.059
H: 0.941 0.249 0.888
H: 0.139 0.692 0.751
H: 0.388 0.749 0.441
H: 0.553 0.692 0.441
H: 0.553 0.361 0.112
H: 0.808 0.947 0.059
H: 0.441 0.553 0.692
H: 0.612 0.251 0.559
H: 0.192 0.639 0.251
H: 0.361 0.749 0.808
H: 0.559 0.447 0.308
H: 0.749 0.808 0.361
H: 0.947 0.388 0.139
H: 0.947 0.059 0.808
H: 0.053 0.941 0.192
H: 0.808 0.361 0.749
Sr: 0.375 0.125 0.250
Sr: 0.250 0.375 0.125
Sr: 0.375 0.750 0.125
Sr: 0.250 0.875 0.625
Sr: 0.125 0.375 0.750
Sr: 0.750 0.625 0.875
Sr: 0.625 0.250 0.875
Sr: 0.125 0.250 0.375
Sr: 0.875 0.750 0.625
Sr: 0.750 0.125 0.375
Sr: 0.625 0.875 0.750
Sr: 0.875 0.625 0.250
Al: 0.500 0.000 0.000
Al: 0.000 0.500 0.000
Al: 0.000 0.000 0.500
Al: 0.000 0.500 0.500
Al: 0.500 0.500 0.500
Al: 0.500 0.500 0.000
Al: 0.000 0.000 0.000
Al: 0.500 0.000 0.500

Values from the calculation:
The calculation puts the spin magnetization at 0.06 Bohr magnetons per cell. For the calculated formation energy, the calculation gives -201.9 kJ/mol of atoms.

***

5.
This record from Materials Project describes a relaxed structure of SmNiSb. The functional is PBE-GGA.

Lattice parameters (Å, degrees): 4.371 4.371 8.067 90.00 90.00 120.00
Atoms (fractional coordinates):
Ni: 0.333 0.667 0.250
Ni: 0.667 0.333 0.750
Sm: 0.000 0.000 0.500
Sm: 0.000 0.000 0.000
Sb: 0.333 0.667 0.750
Sb: 0.667 0.333 0.250

Values from the calculation:
For the calculated formation energy, the calculation gives -85.8 kJ/mol of atoms.

***

6.
This record from Materials Project describes a relaxed structure of Nd3SbO7. The functional is PBE-GGA.

Lattice parameters (Å, degrees): 6.680 6.680 7.739 90.00 90.00 110.43
Atoms (fractional coordinates):
Nd: 0.482 0.937 0.750
Nd: 0.063 0.518 0.250
Nd: 0.937 0.482 0.750
Nd: 0.518 0.063 0.250
Nd: 0.000 0.000 0.500
Nd: 0.000 0.000 0.000
Sb: 0.500 0.500 0.000
Sb: 0.500 0.500 0.500
O: 0.187 0.439 0.967
O: 0.561 0.813 0.467
O: 0.813 0.561 0.033
O: 0.439 0.187 0.967
O: 0.439 0.187 0.533
O: 0.561 0.813 0.033
O: 0.888 0.152 0.250
O: 0.848 0.112 0.750
O: 0.152 0.888 0.250
O: 0.112 0.848 0.750
O: 0.187 0.439 0.533
O: 0.813 0.561 0.467
O: 0.580 0.580 0.750
O: 0.420 0.420 0.250

Values from the calculation:
The calculation puts the excess energy over the best structure of this formula in the dataset at 9.6 meV/atom. For the calculated formation energy, the calculation gives -317.9 kJ/mol of atoms.

***

7.
This record from Materials Project describes a relaxed structure of US. The functional is PBE-GGA.

Lattice parameters (Å, degrees): 3.860 3.860 3.860 60.00 60.00 60.00
Atoms (fractional coordinates):
S: 0.000 0.000 0.000
U: 0.500 0.500 0.500

Values from the calculation:
For the calculated formation energy, the calculation gives -156.7 kJ/mol of atoms.

***

8.
This record from Materials Project describes a relaxed structure of Tb5Ge3B. The functional is PBE-GGA.

Lattice parameters (Å, degrees): 8.680 8.680 6.411 90.00 90.00 120.00
Atoms (fractional coordinates):
Ge: 0.602 0.602 0.250
Ge: 0.398 0.398 0.750
Ge: 0.602 0.000 0.750
Ge: 0.000 0.602 0.750
Ge: 0.398 0.000 0.250
Ge: 0.000 0.398 0.250
Tb: 0.238 0.238 0.250
Tb: 0.238 0.000 0.750
Tb: 0.667 0.333 0.500
Tb: 0.762 0.762 0.750
Tb: 0.333 0.667 0.000
Tb: 0.000 0.238 0.750
Tb: 0.333 0.667 0.500
Tb: 0.762 0.000 0.250
Tb: 0.667 0.333 0.000
Tb: 0.000 0.762 0.250
B: 0.000 0.000 0.500
B: 0.000 0.000 0.000

Values from the calculation:
For the calculated formation energy, the calculation gives -61.0 kJ/mol of atoms.

***

9.
This record from Materials Project describes a relaxed structure of SnH6CNCl3. The functional is PBE-GGA.

Lattice parameters (Å, degrees): 5.920 5.662 5.980 90.00 89.89 90.00
Atoms (fractional coordinates):
H: 0.820 0.841 0.046
H: 0.226 0.851 0.982
H: 0.166 0.000 0.215
H: 0.889 0.000 0.795
H: 0.820 0.159 0.045
H: 0.226 0.148 0.982
Sn: 0.442 0.500 0.500
Cl: 0.015 0.500 0.455
Cl: 0.415 0.500 0.940
Cl: 0.417 0.000 0.517
N: 0.143 0.000 0.042
C: 0.900 0.000 0.978

Values from the calculation:
The calculation puts the spin magnetization at 0.00 Bohr magnetons per cell. For the calculated formation energy, the calculation gives -70.6 kJ/mol of atoms.

***

10.
This record from Materials Project describes a relaxed structure of EuS3. The functional is PBE-GGA.

Lattice parameters (Å, degrees): 5.774 5.774 5.774 140.35 140.35 57.33
Atoms (fractional coordinates):
S: 0.500 0.500 0.000
S: 0.250 0.750 0.500
S: 0.750 0.250 0.500
Eu: 0.000 0.000 0.000

Values from the calculation:
The calculation puts the spin magnetization at 6.22 Bohr magnetons per cell. For the calculated formation energy, the calculation gives -96.6 kJ/mol of atoms.

***

11.
This record from Materials Project describes a relaxed structure of SmTmRh2. The functional is PBE-GGA.

Lattice parameters (Å, degrees): 4.869 4.869 4.869 60.00 60.00 60.00
Atoms (fractional coordinates):
Tm: 0.000 0.000 0.000
Sm: 0.500 0.500 0.500
Rh: 0.250 0.250 0.250
Rh: 0.750 0.750 0.750

Values from the calculation:
For the calculated formation energy, the calculation gives -80.1 kJ/mol of atoms.